[1]
The following is a DFT calculation (r2SCAN) of crystalline KGdTe2 at its relaxed geometry.

Results
**M_tot**: 7.00 μB/cell
**SG**: R-3m (166)
**Calculated total energy**: -26.709 eV per atom
**Calculated density**: 5.16 g/cm³
**Energy relative to the elements**: -1.646 eV per atom

abc: 8.5946 8.5946 8.5946
angles: 30.53 30.53 30.53
With the nearest neighbours (Å) after each atom.
Fractional positions:
K 0.5000 0.5000 0.5000  6 Te 3.52
Gd 0.0000 0.0000 0.0000  6 Te 3.14
Te 0.2628 0.2628 0.2628  3 Gd 3.14
Te 0.7372 0.7372 0.7372  3 Gd 3.14

***

[2]
The following is a DFT calculation (r2SCAN) of crystalline KGdTe4 at its relaxed geometry.

Results
**M_tot**: 14.00 μB/cell
**SG**: P4/nbm (125)
**Calculated total energy**: -26.278 eV per atom
**Calculated density**: 5.60 g/cm³
**Energy relative to the elements**: -1.097 eV per atom

abc: 6.8990 6.8990 8.8000
angles: 90.00 90.00 90.00
With the nearest neighbours (Å) after each atom.
Fractional positions:
K 0.2500 0.2500 0.0000  8 Te 3.67
K 0.7500 0.7500 0.0000  8 Te 3.67
Gd 0.2500 0.2500 0.5000  8 Te 3.24
Gd 0.7500 0.7500 0.5000  8 Te 3.24
Te 0.6062 0.1062 0.2889  1 Te 2.81
Te 0.3938 0.6062 0.2889  1 Te 2.81
Te 0.1062 0.8938 0.2889  1 Te 2.81
Te 0.6062 0.3938 0.7111  1 Te 2.81
Te 0.8938 0.1062 0.7111  1 Te 2.81
Te 0.8938 0.3938 0.2889  1 Te 2.81
Te 0.1062 0.6062 0.7111  1 Te 2.81
Te 0.3938 0.8938 0.7111  1 Te 2.81

***

[3]
The following is a DFT calculation (r2SCAN) of crystalline LaGd3 at its relaxed geometry.

Results
**M_tot**: 49.26 μB/cell
**SG**: P6_3/mmc (194)
**Calculated total energy**: -39.970 eV per atom
**Calculated density**: 7.16 g/cm³
**Energy relative to the elements**: 0.014 eV per atom

abc: 7.4136 7.4135 5.9516
angles: 90.00 90.00 120.00
With the nearest neighbours (Å) after each atom.
Fractional positions:
La 0.6667 0.3333 0.2500  12 Gd 3.70-3.71
La 0.3333 0.6667 0.7500  12 Gd 3.70-3.71
Gd 0.8374 0.1626 0.7500  8 Gd 3.62-3.80, 4 La 3.70-3.71
Gd 0.3253 0.1626 0.7500  8 Gd 3.62-3.80, 4 La 3.70-3.71
Gd 0.8374 0.6747 0.7500  8 Gd 3.62-3.80, 4 La 3.70-3.71
Gd 0.1626 0.8374 0.2500  8 Gd 3.62-3.80, 4 La 3.70-3.71
Gd 0.6747 0.8374 0.2500  8 Gd 3.62-3.80, 4 La 3.70-3.71
Gd 0.1626 0.3253 0.2500  8 Gd 3.62-3.80, 4 La 3.70-3.71

***

[4]
The following is a DFT calculation (r2SCAN) of crystalline LaGd3 at its relaxed geometry.

Results
**M_tot**: 7.97 μB/cell
**SG**: I4/mmm (139)
**Calculated total energy**: -39.876 eV per atom
**Calculated density**: 7.43 g/cm³
**Energy relative to the elements**: 0.108 eV per atom

abc: 6.3808 6.3808 6.3808
angles: 133.00 133.00 68.65
With the nearest neighbours (Å) after each atom.
Fractional positions:
La 0.0000 0.0000 0.0000  12 Gd 3.60-3.66
Gd 0.7500 0.2500 0.5000  8 Gd 3.60-3.66, 4 La 3.66
Gd 0.2500 0.7500 0.5000  8 Gd 3.60-3.66, 4 La 3.66
Gd 0.5000 0.5000 0.0000  4 La 3.60, 8 Gd 3.66

***

[5]
The following is a DFT calculation (r2SCAN) of crystalline LaGdTl2 at its relaxed geometry.

Results
**M_tot**: 7.40 μB/cell
**SG**: Fm-3m (225)
**Calculated total energy**: -45.362 eV per atom
**Calculated density**: 9.88 g/cm³
**Energy relative to the elements**: -0.487 eV per atom

abc: 5.5134 5.5134 5.5134
angles: 60.00 60.00 60.00
With the nearest neighbours (Å) after each atom.
Fractional positions:
La 0.0000 0.0000 0.0000  8 Tl 3.38
Gd 0.5000 0.5000 0.5000  8 Tl 3.38
Tl 0.2500 0.2500 0.2500  4 Gd 3.38, 4 La 3.38
Tl 0.7500 0.7500 0.7500  4 La 3.38, 4 Gd 3.38

***

[6]
The following is a DFT calculation (r2SCAN) of crystalline LiGd2Os at its relaxed geometry.

Results
**M_tot**: 14.53 μB/cell
**SG**: Fm-3m (225)
**Calculated total energy**: -35.711 eV per atom
**Calculated density**: 10.01 g/cm³
**Energy relative to the elements**: -0.170 eV per atom

abc: 4.9335 4.9335 4.9335
angles: 60.00 60.00 60.00
With the nearest neighbours (Å) after each atom.
Fractional positions:
Li 0.5000 0.5000 0.5000  8 Gd 3.02
Gd 0.2500 0.2500 0.2500  4 Li 3.02, 4 Os 3.02
Gd 0.7500 0.7500 0.7500  4 Li 3.02, 4 Os 3.02
Os 0.0000 0.0000 0.0000  8 Gd 3.02

***

[7]
The following is a DFT calculation (r2SCAN) of crystalline LiGdS2 at its relaxed geometry.

Results
**M_tot**: 7.00 μB/cell
**SG**: P4/mmm (123)
**Calculated total energy**: -17.460 eV per atom
**Calculated density**: 4.54 g/cm³
**Energy relative to the elements**: -1.997 eV per atom

abc: 3.9502 3.9502 5.3562
angles: 90.00 90.00 90.00
With the nearest neighbours (Å) after each atom.
Fractional positions:
Li 0.0000 0.0000 0.0000  6 S 2.68-2.79
Gd 0.5000 0.5000 0.5000  6 S 2.68-2.79
S 0.0000 0.0000 0.5000  2 Li 2.68, 4 Gd 2.79
S 0.5000 0.5000 0.0000  2 Gd 2.68, 4 Li 2.79

***

[8]
The following is a DFT calculation (r2SCAN) of crystalline LiGdS2 at its relaxed geometry.

Results
**M_tot**: 7.00 μB/cell
**SG**: R-3m (166)
**Calculated total energy**: -17.527 eV per atom
**Calculated density**: 4.54 g/cm³
**Energy relative to the elements**: -2.064 eV per atom

abc: 6.5778 6.5778 6.5778
angles: 34.99 34.99 34.99
With the nearest neighbours (Å) after each atom.
Fractional positions:
Li 0.5000 0.5000 0.5000  6 S 2.75
Gd 0.0000 0.0000 0.0000  6 S 2.76
S 0.2493 0.2493 0.2493  3 Li 2.75, 3 Gd 2.76
S 0.7507 0.7507 0.7507  3 Li 2.75, 3 Gd 2.76

***

[9]
The following is a DFT calculation (r2SCAN) of crystalline GdMg at its relaxed geometry.

Results
**M_tot**: 8.02 μB/cell
**SG**: Pm-3m (221)
**Calculated total energy**: -23.862 eV per atom
**Calculated density**: 5.36 g/cm³
**Energy relative to the elements**: -0.079 eV per atom

abc: 3.8306 3.8306 3.8306
angles: 90.00 90.00 90.00
With the nearest neighbours (Å) after each atom.
Fractional positions:
Gd 0.5000 0.5000 0.5000  8 Mg 3.32
Mg 0.0000 0.0000 0.0000  8 Gd 3.32

***

[10]
The following is a DFT calculation (r2SCAN) of crystalline Gd2Mg at its relaxed geometry.

Results
**M_tot**: 0.70 μB/cell
**SG**: Cmcm (63)
**Calculated total energy**: -30.344 eV per atom
**Calculated density**: 6.29 g/cm³
**Energy relative to the elements**: -0.022 eV per atom

abc: 3.7205 8.9379 5.5000
angles: 90.00 90.00 77.99
With the nearest neighbours (Å) after each atom.
Fractional positions:
Gd 0.9775 0.0450 0.0000  6 Mg 3.32-3.34, 6 Gd 3.67-3.72
Gd 0.6612 0.6776 0.0000  2 Mg 3.34, 10 Gd 3.41-3.72
Gd 0.8003 0.3994 0.5000  6 Mg 3.32-3.34, 6 Gd 3.67-3.72
Gd 0.1166 0.7668 0.5000  2 Mg 3.34, 10 Gd 3.41-3.72
Mg 0.3199 0.3602 0.0000  8 Gd 3.32-3.34, 4 Mg 3.66-3.72
Mg 0.4579 0.0842 0.5000  8 Gd 3.32-3.34, 4 Mg 3.66-3.72

***

[11]
The following is a DFT calculation (r2SCAN) of crystalline Gd2MgPtO6 at its relaxed geometry.

Results
**M_tot**: 28.00 μB/cell
**SG**: P2_1/c (14)
**Calculated total energy**: -20.568 eV per atom
**Calculated density**: 8.87 g/cm³
**Energy relative to the elements**: -2.739 eV per atom

abc: 5.6963 5.3674 9.3695
angles: 55.39 90.00 90.00
With the nearest neighbours (Å) after each atom.
Fractional positions:
Gd 0.4308 0.2311 0.7492  6 O 2.28-2.54
Gd 0.5692 0.7689 0.2508  6 O 2.28-2.54
Gd 0.9308 0.7689 0.7508  6 O 2.28-2.54
Gd 0.0692 0.2311 0.2492  6 O 2.28-2.54
Mg 0.0000 0.5000 0.5000  6 O 2.04-2.07
Mg 0.5000 0.5000 0.0000  6 O 2.04-2.07
Pt 0.0000 0.0000 0.0000  6 O 2.02-2.04
Pt 0.5000 0.0000 0.5000  6 O 2.02-2.04
O 0.0396 0.3596 0.7516  1 Pt 2.02, 1 Mg 2.04
O 0.9604 0.6404 0.2484  1 Pt 2.02, 1 Mg 2.04
O 0.5396 0.6404 0.7484  1 Pt 2.02, 1 Mg 2.04
O 0.4604 0.3596 0.2516  1 Pt 2.02, 1 Mg 2.04
O 0.6995 0.8679 0.9432  1 Pt 2.04, 1 Mg 2.07
O 0.3005 0.1321 0.0568  1 Pt 2.04, 1 Mg 2.07
O 0.1995 0.1321 0.5568  1 Pt 2.04, 1 Mg 2.07
O 0.8005 0.8679 0.4432  1 Pt 2.04, 1 Mg 2.07
O 0.1961 0.7487 0.9446  1 Pt 2.03, 1 Mg 2.06
O 0.8039 0.2513 0.0554  1 Pt 2.03, 1 Mg 2.06
O 0.6961 0.2513 0.5554  1 Pt 2.03, 1 Mg 2.06
O 0.3039 0.7487 0.4446  1 Pt 2.03, 1 Mg 2.06

***

[12]
The following is a DFT calculation (r2SCAN) of crystalline PmGdMg2 at its relaxed geometry.

Results
**M_tot**: 8.55 μB/cell
**SG**: Fm-3m (225)
**Calculated total energy**: -20.416 eV per atom
**Calculated density**: 5.08 g/cm³
**Energy relative to the elements**: -0.097 eV per atom

abc: 5.4543 5.4543 5.4543
angles: 60.00 60.00 60.00
With the nearest neighbours (Å) after each atom.
Fractional positions:
Pm 0.0000 0.0000 0.0000  8 Mg 3.34
Gd 0.5000 0.5000 0.5000  8 Mg 3.34
Mg 0.2500 0.2500 0.2500  4 Gd 3.34, 4 Pm 3.34
Mg 0.7500 0.7500 0.7500  4 Gd 3.34, 4 Pm 3.34